Entry 1:
# PBE with a Hubbard U MgV4FeNiO12, relaxed
data_MgV4FeNiO12
_chemical_formula_sum 'Mg1 V4 Fe1 Ni1 O12'
_space_group_name_H-M_alt 'P 1'
_space_group_IT_number 1
_cell_length_a 5.864
_cell_length_b 6.407
_cell_length_c 6.960
_cell_angle_alpha 81.32
_cell_angle_beta 78.37
_cell_angle_gamma 75.99
loop_
_space_group_symop_operation_xyz
'x,y,z'
loop_
_atom_site_label
_atom_site_type_symbol
_atom_site_fract_x
_atom_site_fract_y
_atom_site_fract_z
Mg1 Mg 0.000 0.000 0.000
V1 V 0.351 0.274 0.031
V2 V 0.425 0.768 0.666
V3 V 0.802 0.457 0.872
V4 V 0.873 0.966 0.526
Fe1 Fe 0.413 0.681 0.181
Ni1 Ni 0.873 0.538 0.357
O1 O 0.090 0.894 0.707
O2 O 0.106 0.292 0.889
O3 O 0.241 0.427 0.236
O4 O 0.323 0.975 0.089
O5 O 0.427 0.575 0.894
O6 O 0.485 0.646 0.441
O7 O 0.554 0.006 0.615
O8 O 0.688 0.195 0.954
O9 O 0.761 0.596 0.093
O10 O 0.824 0.620 0.640
O11 O 0.881 0.224 0.448
O12 O 0.941 0.849 0.301
# Energy of formation in eV per formula unit: -41.378
# M_tot in μB/f.u.: 8.00
# Uncorrected energy in eV/atom: -7.0052
# ρ in Mg/m³: 3.59

Entry 2:
# PBE with a Hubbard U MgV8Zn4O16, relaxed
data_MgV8Zn4O16
_chemical_formula_sum 'Mg1 V8 Zn4 O16'
_space_group_name_H-M_alt 'P 1'
_space_group_IT_number 1
_cell_length_a 3.037
_cell_length_b 9.939
_cell_length_c 10.720
_cell_angle_alpha 85.52
_cell_angle_beta 83.54
_cell_angle_gamma 89.72
loop_
_space_group_symop_operation_xyz
'x,y,z'
loop_
_atom_site_label
_atom_site_type_symbol
_atom_site_fract_x
_atom_site_fract_y
_atom_site_fract_z
Mg1 Mg 0.000 0.000 0.000
V1 V 0.010 0.743 0.889
V2 V 0.178 0.499 0.755
V3 V 0.399 0.512 0.413
V4 V 0.465 0.760 0.260
V5 V 0.539 0.987 0.748
V6 V 0.596 0.256 0.897
V7 V 0.833 0.008 0.442
V8 V 0.923 0.292 0.288
Zn1 Zn 0.043 0.245 0.601
Zn2 Zn 0.376 0.518 0.061
Zn3 Zn 0.448 0.035 0.211
Zn4 Zn 0.850 0.737 0.555
O1 O 0.036 0.861 0.713
O2 O 0.062 0.115 0.828
O3 O 0.118 0.385 0.938
O4 O 0.320 0.598 0.586
O5 O 0.339 0.867 0.437
O6 O 0.391 0.157 0.345
O7 O 0.440 0.411 0.232
O8 O 0.484 0.879 0.925
O9 O 0.490 0.129 0.047
O10 O 0.553 0.113 0.592
O11 O 0.592 0.619 0.826
O12 O 0.717 0.366 0.725
O13 O 0.878 0.649 0.061
O14 O 0.892 0.377 0.452
O15 O 0.923 0.641 0.355
O16 O 0.965 0.907 0.186
# Energy of formation in eV per formula unit: -61.220
# M_tot in μB/f.u.: 16.00
# Uncorrected energy in eV/atom: -6.7278
# ρ in Mg/m³: 4.92

Entry 3:
# PBE with a Hubbard U MgZr3Tl10Mo12O48, relaxed
data_MgZr3Tl10Mo12O48
_chemical_formula_sum 'Mg1 Zr3 Tl10 Mo12 O48'
_space_group_name_H-M_alt 'P 1'
_space_group_IT_number 1
_cell_length_a 14.408
_cell_length_b 14.408
_cell_length_c 14.408
_cell_angle_alpha 44.31
_cell_angle_beta 44.31
_cell_angle_gamma 44.31
loop_
_space_group_symop_operation_xyz
'x,y,z'
loop_
_atom_site_label
_atom_site_type_symbol
_atom_site_fract_x
_atom_site_fract_y
_atom_site_fract_z
Mg1 Mg 0.000 0.000 0.000
Zr1 Zr 0.252 0.252 0.252
Zr2 Zr 0.500 0.500 0.500
Zr3 Zr 0.748 0.748 0.748
Tl1 Tl 0.003 0.380 0.617
Tl2 Tl 0.103 0.103 0.103
Tl3 Tl 0.110 0.887 0.503
Tl4 Tl 0.380 0.617 0.003
Tl5 Tl 0.394 0.394 0.394
Tl6 Tl 0.503 0.110 0.887
Tl7 Tl 0.606 0.606 0.606
Tl8 Tl 0.617 0.003 0.380
Tl9 Tl 0.887 0.503 0.110
Tl10 Tl 0.898 0.898 0.898
Mo1 Mo 0.010 0.777 0.363
Mo2 Mo 0.132 0.488 0.729
Mo3 Mo 0.228 0.986 0.637
Mo4 Mo 0.275 0.508 0.868
Mo5 Mo 0.363 0.010 0.777
Mo6 Mo 0.488 0.729 0.132
Mo7 Mo 0.508 0.868 0.275
Mo8 Mo 0.637 0.228 0.986
Mo9 Mo 0.729 0.132 0.488
Mo10 Mo 0.777 0.363 0.010
Mo11 Mo 0.868 0.275 0.508
Mo12 Mo 0.986 0.637 0.228
O1 O 0.044 0.783 0.078
O2 O 0.048 0.248 0.354
O3 O 0.078 0.044 0.783
O4 O 0.097 0.822 0.362
O5 O 0.112 0.632 0.843
O6 O 0.136 0.612 0.340
O7 O 0.137 0.398 0.686
O8 O 0.144 0.453 0.249
O9 O 0.154 0.367 0.894
O10 O 0.183 0.897 0.639
O11 O 0.217 0.951 0.927
O12 O 0.248 0.354 0.048
O13 O 0.249 0.144 0.453
O14 O 0.285 0.546 0.576
O15 O 0.319 0.596 0.864
O16 O 0.340 0.136 0.612
O17 O 0.354 0.048 0.248
O18 O 0.362 0.097 0.822
O19 O 0.367 0.894 0.154
O20 O 0.394 0.863 0.658
O21 O 0.398 0.686 0.137
O22 O 0.429 0.448 0.715
O23 O 0.448 0.715 0.429
O24 O 0.453 0.249 0.144
O25 O 0.546 0.576 0.285
O26 O 0.546 0.853 0.752
O27 O 0.576 0.285 0.546
O28 O 0.596 0.864 0.319
O29 O 0.612 0.340 0.136
O30 O 0.632 0.843 0.112
O31 O 0.639 0.183 0.897
O32 O 0.643 0.753 0.951
O33 O 0.658 0.394 0.863
O34 O 0.686 0.137 0.398
O35 O 0.715 0.429 0.448
O36 O 0.752 0.546 0.853
O37 O 0.753 0.951 0.643
O38 O 0.783 0.078 0.044
O39 O 0.822 0.362 0.097
O40 O 0.843 0.112 0.632
O41 O 0.853 0.752 0.546
O42 O 0.863 0.658 0.394
O43 O 0.864 0.319 0.596
O44 O 0.894 0.154 0.367
O45 O 0.897 0.639 0.183
O46 O 0.927 0.217 0.951
O47 O 0.951 0.643 0.753
O48 O 0.951 0.927 0.217
# Energy of formation in eV per formula unit: -154.659
# M_tot in μB/f.u.: 0.00
# Uncorrected energy in eV/atom: -6.7808
# ρ in Mg/m³: 5.33

Entry 4:
# PBE with a Hubbard U LiCrSiO4, relaxed
data_LiCrSiO4
_chemical_formula_sum 'Li4 Cr4 Si4 O16'
_space_group_name_H-M_alt 'P 1'
_space_group_IT_number 1
_cell_length_a 10.276
_cell_length_b 4.735
_cell_length_c 6.150
_cell_angle_alpha 90.00
_cell_angle_beta 90.00
_cell_angle_gamma 90.00
loop_
_space_group_symop_operation_xyz
'x,y,z'
loop_
_atom_site_label
_atom_site_type_symbol
_atom_site_fract_x
_atom_site_fract_y
_atom_site_fract_z
Li1 Li 0.215 0.018 0.000
Li2 Li 0.285 0.518 0.500
Li3 Li 0.715 0.482 0.000
Li4 Li 0.785 0.982 0.500
Cr1 Cr 0.000 0.500 0.251
Cr2 Cr 0.000 0.500 0.751
Cr3 Cr 0.500 0.000 0.251
Cr4 Cr 0.500 0.000 0.751
Si1 Si 0.090 0.081 0.501
Si2 Si 0.410 0.581 0.001
Si3 Si 0.590 0.419 0.501
Si4 Si 0.910 0.919 0.001
O1 O 0.057 0.750 0.001
O2 O 0.081 0.734 0.501
O3 O 0.150 0.221 0.724
O4 O 0.150 0.222 0.279
O5 O 0.350 0.721 0.224
O6 O 0.350 0.722 0.779
O7 O 0.419 0.234 0.001
O8 O 0.443 0.250 0.501
O9 O 0.557 0.750 0.001
O10 O 0.581 0.766 0.501
O11 O 0.650 0.278 0.279
O12 O 0.650 0.279 0.724
O13 O 0.850 0.778 0.779
O14 O 0.850 0.779 0.224
O15 O 0.919 0.266 0.001
O16 O 0.943 0.250 0.501
# Energy of formation in eV per formula unit: -19.064
# M_tot in μB/f.u.: 3.00
# Uncorrected energy in eV/atom: -7.2994
# ρ in Mg/m³: 3.35

Entry 5:
# PBE with a Hubbard U Sr6Co4Bi2O15, relaxed
data_Sr6Co4Bi2O15
_chemical_formula_sum 'Sr24 Co16 Bi8 O60'
_space_group_name_H-M_alt 'P 1'
_space_group_IT_number 1
_cell_length_a 16.695
_cell_length_b 16.695
_cell_length_c 5.583
_cell_angle_alpha 90.00
_cell_angle_beta 90.00
_cell_angle_gamma 90.13
loop_
_space_group_symop_operation_xyz
'x,y,z'
loop_
_atom_site_label
_atom_site_type_symbol
_atom_site_fract_x
_atom_site_fract_y
_atom_site_fract_z
Sr1 Sr 0.007 0.660 0.741
Sr2 Sr 0.112 0.222 0.252
Sr3 Sr 0.123 0.769 0.250
Sr4 Sr 0.160 0.496 0.748
Sr5 Sr 0.222 0.112 0.748
Sr6 Sr 0.231 0.877 0.750
Sr7 Sr 0.271 0.378 0.249
Sr8 Sr 0.276 0.613 0.247
Sr9 Sr 0.340 0.993 0.259
Sr10 Sr 0.378 0.271 0.751
Sr11 Sr 0.387 0.724 0.753
Sr12 Sr 0.496 0.160 0.252
Sr13 Sr 0.504 0.840 0.252
Sr14 Sr 0.613 0.276 0.753
Sr15 Sr 0.622 0.729 0.751
Sr16 Sr 0.660 0.007 0.259
Sr17 Sr 0.724 0.387 0.247
Sr18 Sr 0.729 0.622 0.249
Sr19 Sr 0.769 0.123 0.750
Sr20 Sr 0.778 0.888 0.748
Sr21 Sr 0.840 0.504 0.748
Sr22 Sr 0.877 0.231 0.250
Sr23 Sr 0.888 0.778 0.252
Sr24 Sr 0.993 0.340 0.741
Co1 Co 0.085 0.410 0.240
Co2 Co 0.087 0.582 0.247
Co3 Co 0.185 0.297 0.747
Co4 Co 0.202 0.685 0.749
Co5 Co 0.297 0.185 0.253
Co6 Co 0.315 0.798 0.251
Co7 Co 0.410 0.085 0.760
Co8 Co 0.418 0.913 0.753
Co9 Co 0.582 0.087 0.753
Co10 Co 0.590 0.915 0.760
Co11 Co 0.685 0.202 0.251
Co12 Co 0.703 0.815 0.253
Co13 Co 0.798 0.315 0.749
Co14 Co 0.815 0.703 0.747
Co15 Co 0.913 0.418 0.247
Co16 Co 0.915 0.590 0.240
Bi1 Bi 0.006 0.882 0.770
Bi2 Bi 0.118 0.994 0.230
Bi3 Bi 0.382 0.495 0.730
Bi4 Bi 0.495 0.382 0.270
Bi5 Bi 0.505 0.618 0.270
Bi6 Bi 0.618 0.505 0.730
Bi7 Bi 0.882 0.006 0.230
Bi8 Bi 0.994 0.118 0.770
O1 O 0.000 0.500 0.242
O2 O 0.000 0.500 0.743
O3 O 0.005 0.663 0.260
O4 O 0.007 0.871 0.151
O5 O 0.093 0.204 0.727
O6 O 0.097 0.793 0.724
O7 O 0.127 0.362 0.982
O8 O 0.129 0.993 0.849
O9 O 0.133 0.364 0.511
O10 O 0.135 0.632 0.984
O11 O 0.140 0.629 0.506
O12 O 0.163 0.496 0.245
O13 O 0.204 0.093 0.273
O14 O 0.207 0.903 0.276
O15 O 0.243 0.243 0.000
O16 O 0.249 0.249 0.500
O17 O 0.252 0.748 0.000
O18 O 0.257 0.743 0.500
O19 O 0.293 0.403 0.775
O20 O 0.296 0.592 0.772
O21 O 0.337 0.995 0.740
O22 O 0.362 0.127 0.018
O23 O 0.364 0.133 0.489
O24 O 0.368 0.865 0.016
O25 O 0.371 0.494 0.349
O26 O 0.371 0.860 0.494
O27 O 0.403 0.293 0.225
O28 O 0.408 0.704 0.228
O29 O 0.494 0.371 0.651
O30 O 0.496 0.163 0.755
O31 O 0.500 0.000 0.257
O32 O 0.500 0.000 0.758
O33 O 0.504 0.837 0.755
O34 O 0.506 0.629 0.651
O35 O 0.592 0.296 0.228
O36 O 0.597 0.707 0.225
O37 O 0.629 0.140 0.494
O38 O 0.629 0.506 0.349
O39 O 0.632 0.135 0.016
O40 O 0.636 0.867 0.489
O41 O 0.638 0.873 0.018
O42 O 0.663 0.005 0.740
O43 O 0.704 0.408 0.772
O44 O 0.707 0.597 0.775
O45 O 0.743 0.257 0.500
O46 O 0.748 0.252 0.000
O47 O 0.751 0.751 0.500
O48 O 0.757 0.757 0.000
O49 O 0.793 0.097 0.276
O50 O 0.796 0.907 0.273
O51 O 0.837 0.504 0.245
O52 O 0.860 0.371 0.506
O53 O 0.865 0.368 0.984
O54 O 0.867 0.636 0.511
O55 O 0.871 0.007 0.849
O56 O 0.873 0.638 0.982
O57 O 0.903 0.207 0.724
O58 O 0.907 0.796 0.727
O59 O 0.993 0.129 0.151
O60 O 0.995 0.337 0.260
# Energy of formation in eV per formula unit: -59.030
# M_tot in μB/f.u.: 12.61
# Uncorrected energy in eV/atom: -6.0275
# ρ in Mg/m³: 6.06

Entry 6:
# PBE with a Hubbard U ZnFe2O4, relaxed
data_ZnFe2O4
_chemical_formula_sum 'Zn10 Fe20 O40'
_space_group_name_H-M_alt 'P 1'
_space_group_IT_number 1
_cell_length_a 5.957
_cell_length_b 6.008
_cell_length_c 24.596
_cell_angle_alpha 83.23
_cell_angle_beta 89.88
_cell_angle_gamma 60.37
loop_
_space_group_symop_operation_xyz
'x,y,z'
loop_
_atom_site_label
_atom_site_type_symbol
_atom_site_fract_x
_atom_site_fract_y
_atom_site_fract_z
Zn1 Zn 0.000 0.000 0.000
Zn2 Zn 0.045 0.905 0.154
Zn3 Zn 0.123 0.754 0.877
Zn4 Zn 0.195 0.611 0.604
Zn5 Zn 0.325 0.352 0.478
Zn6 Zn 0.395 0.213 0.202
Zn7 Zn 0.595 0.810 0.801
Zn8 Zn 0.722 0.556 0.677
Zn9 Zn 0.800 0.405 0.401
Zn10 Zn 0.923 0.156 0.277
Fe1 Fe 0.026 0.451 0.077
Fe2 Fe 0.122 0.254 0.876
Fe3 Fe 0.126 0.748 0.377
Fe4 Fe 0.223 0.053 0.677
Fe5 Fe 0.254 0.492 0.750
Fe6 Fe 0.323 0.846 0.478
Fe7 Fe 0.325 0.350 0.976
Fe8 Fe 0.425 0.652 0.278
Fe9 Fe 0.454 0.090 0.355
Fe10 Fe 0.521 0.957 0.076
Fe11 Fe 0.522 0.956 0.579
Fe12 Fe 0.523 0.451 0.077
Fe13 Fe 0.625 0.254 0.876
Fe14 Fe 0.651 0.698 0.953
Fe15 Fe 0.717 0.564 0.178
Fe16 Fe 0.724 0.053 0.677
Fe17 Fe 0.832 0.845 0.478
Fe18 Fe 0.854 0.292 0.554
Fe19 Fe 0.926 0.652 0.279
Fe20 Fe 0.928 0.145 0.778
O1 O 0.004 0.533 0.930
O2 O 0.043 0.390 0.230
O3 O 0.065 0.870 0.721
O4 O 0.070 0.830 0.236
O5 O 0.077 0.327 0.723
O6 O 0.166 0.667 0.523
O7 O 0.191 0.172 0.025
O8 O 0.192 0.139 0.527
O9 O 0.192 0.616 0.025
O10 O 0.248 0.974 0.827
O11 O 0.260 0.935 0.331
O12 O 0.276 0.465 0.333
O13 O 0.279 0.443 0.830
O14 O 0.370 0.258 0.121
O15 O 0.372 0.786 0.631
O16 O 0.387 0.226 0.634
O17 O 0.392 0.746 0.124
O18 O 0.437 0.581 0.425
O19 O 0.463 0.075 0.929
O20 O 0.464 0.533 0.930
O21 O 0.484 0.037 0.433
O22 O 0.555 0.890 0.718
O23 O 0.571 0.841 0.229
O24 O 0.581 0.375 0.229
O25 O 0.596 0.327 0.723
O26 O 0.637 0.173 0.025
O27 O 0.668 0.662 0.528
O28 O 0.670 0.139 0.527
O29 O 0.676 0.649 0.031
O30 O 0.777 0.480 0.320
O31 O 0.779 0.973 0.827
O32 O 0.782 0.436 0.827
O33 O 0.805 0.922 0.330
O34 O 0.842 0.787 0.631
O35 O 0.859 0.746 0.123
O36 O 0.860 0.280 0.125
O37 O 0.888 0.226 0.634
O38 O 0.963 0.074 0.920
O39 O 0.987 0.578 0.426
O40 O 0.989 0.020 0.425
# Energy of formation in eV per formula unit: -11.557
# M_tot in μB/f.u.: 10.00
# Uncorrected energy in eV/atom: -6.0413
# ρ in Mg/m³: 5.28

Entry 7:
# PBE with a Hubbard U K2HgMoF6, relaxed
data_K2HgMoF6
_chemical_formula_sum 'K2 Hg1 Mo1 F6'
_space_group_name_H-M_alt 'P 1'
_space_group_IT_number 1
_cell_length_a 6.901
_cell_length_b 6.901
_cell_length_c 6.901
_cell_angle_alpha 60.00
_cell_angle_beta 60.00
_cell_angle_gamma 60.00
loop_
_space_group_symop_operation_xyz
'x,y,z'
loop_
_atom_site_label
_atom_site_type_symbol
_atom_site_fract_x
_atom_site_fract_y
_atom_site_fract_z
K1 K 0.250 0.250 0.250
K2 K 0.750 0.750 0.750
Hg1 Hg 0.000 0.000 0.000
Mo1 Mo 0.500 0.500 0.500
F1 F 0.297 0.297 0.703
F2 F 0.297 0.703 0.297
F3 F 0.297 0.703 0.703
F4 F 0.703 0.297 0.297
F5 F 0.703 0.297 0.703
F6 F 0.703 0.703 0.297
# Energy of formation in eV per formula unit: -24.395
# M_tot in μB/f.u.: 2.00
# Uncorrected energy in eV/atom: -4.3278
# ρ in Mg/m³: 3.49

Entry 8:
# PBE with a Hubbard U NiSO10, relaxed
data_NiSO10
_chemical_formula_sum 'Ni4 S4 O40'
_space_group_name_H-M_alt 'P 1'
_space_group_IT_number 1
_cell_length_a 6.363
_cell_length_b 6.363
_cell_length_c 15.966
_cell_angle_alpha 90.00
_cell_angle_beta 90.00
_cell_angle_gamma 90.00
loop_
_space_group_symop_operation_xyz
'x,y,z'
loop_
_atom_site_label
_atom_site_type_symbol
_atom_site_fract_x
_atom_site_fract_y
_atom_site_fract_z
Ni1 Ni 0.215 0.215 0.000
Ni2 Ni 0.285 0.715 0.250
Ni3 Ni 0.715 0.285 0.750
Ni4 Ni 0.785 0.785 0.500
S1 S 0.212 0.788 0.750
S2 S 0.288 0.288 0.500
S3 S 0.712 0.712 0.000
S4 S 0.788 0.212 0.250
O1 O 0.028 0.801 0.437
O2 O 0.056 0.723 0.182
O3 O 0.057 0.325 0.505
O4 O 0.072 0.355 0.085
O5 O 0.110 0.882 0.674
O6 O 0.118 0.890 0.826
O7 O 0.145 0.572 0.335
O8 O 0.175 0.557 0.755
O9 O 0.199 0.972 0.063
O10 O 0.223 0.444 0.932
O11 O 0.277 0.944 0.318
O12 O 0.301 0.472 0.187
O13 O 0.325 0.057 0.495
O14 O 0.355 0.072 0.915
O15 O 0.382 0.390 0.424
O16 O 0.390 0.382 0.576
O17 O 0.428 0.855 0.165
O18 O 0.443 0.825 0.745
O19 O 0.444 0.223 0.068
O20 O 0.472 0.301 0.813
O21 O 0.528 0.699 0.313
O22 O 0.556 0.777 0.568
O23 O 0.557 0.175 0.245
O24 O 0.572 0.145 0.665
O25 O 0.610 0.618 0.076
O26 O 0.618 0.610 0.924
O27 O 0.645 0.928 0.415
O28 O 0.675 0.943 0.995
O29 O 0.699 0.528 0.687
O30 O 0.723 0.056 0.818
O31 O 0.777 0.556 0.432
O32 O 0.801 0.028 0.563
O33 O 0.825 0.443 0.255
O34 O 0.855 0.428 0.835
O35 O 0.882 0.110 0.326
O36 O 0.890 0.118 0.174
O37 O 0.928 0.645 0.585
O38 O 0.943 0.675 0.005
O39 O 0.944 0.277 0.682
O40 O 0.972 0.199 0.937
# Energy of formation in eV per formula unit: -0.497
# M_tot in μB/f.u.: 10.00
# Uncorrected energy in eV/atom: -4.2069
# ρ in Mg/m³: 2.58

Which value of ρ does entry 8 give? 2.58 Mg/m³

What did the first record say?
# PBE with a Hubbard U MgV4FeNiO12, relaxed
data_MgV4FeNiO12
_chemical_formula_sum 'Mg1 V4 Fe1 Ni1 O12'
_space_group_name_H-M_alt 'P 1'
_space_group_IT_number 1
_cell_length_a 5.864
_cell_length_b 6.407
_cell_length_c 6.960
_cell_angle_alpha 81.32
_cell_angle_beta 78.37
_cell_angle_gamma 75.99
loop_
_space_group_symop_operation_xyz
'x,y,z'
loop_
_atom_site_label
_atom_site_type_symbol
_atom_site_fract_x
_atom_site_fract_y
_atom_site_fract_z
Mg1 Mg 0.000 0.000 0.000
V1 V 0.351 0.274 0.031
V2 V 0.425 0.768 0.666
V3 V 0.802 0.457 0.872
V4 V 0.873 0.966 0.526
Fe1 Fe 0.413 0.681 0.181
Ni1 Ni 0.873 0.538 0.357
O1 O 0.090 0.894 0.707
O2 O 0.106 0.292 0.889
O3 O 0.241 0.427 0.236
O4 O 0.323 0.975 0.089
O5 O 0.427 0.575 0.894
O6 O 0.485 0.646 0.441
O7 O 0.554 0.006 0.615
O8 O 0.688 0.195 0.954
O9 O 0.761 0.596 0.093
O10 O 0.824 0.620 0.640
O11 O 0.881 0.224 0.448
O12 O 0.941 0.849 0.301
# Energy of formation in eV per formula unit: -41.378
# M_tot in μB/f.u.: 8.00
# Uncorrected energy in eV/atom: -7.0052
# ρ in Mg/m³: 3.59